Entry 1:
VASP calculation (PBE+U) on V2Re2O11 after structural relaxation.

Geometry as POSCAR:
```
V2Re2O11
1.0
3.429 -7.005 0.000
3.429 7.005 0.000
0.000 0.000 9.374
V Re O
4 4 22
Direct
0.018 0.982 0.500 V
0.293 0.707 0.332 V
0.707 0.293 0.832 V
0.982 0.018 0.000 V
0.239 0.761 0.915 Re
0.499 0.501 0.521 Re
0.501 0.499 0.021 Re
0.761 0.239 0.415 Re
0.041 0.518 0.432 O
0.052 0.948 0.334 O
0.115 0.885 0.990 O
0.214 0.786 0.735 O
0.216 0.302 0.075 O
0.273 0.727 0.155 O
0.302 0.216 0.575 O
0.369 0.631 0.916 O
0.402 0.598 0.634 O
0.435 0.565 0.354 O
0.482 0.959 0.432 O
0.518 0.041 0.932 O
0.565 0.435 0.854 O
0.598 0.402 0.134 O
0.631 0.369 0.416 O
0.698 0.784 0.075 O
0.727 0.273 0.655 O
0.784 0.698 0.575 O
0.786 0.214 0.235 O
0.885 0.115 0.490 O
0.948 0.052 0.834 O
0.959 0.482 0.932 O
```

## Properties
**Total magnetization**: 0.133 μB per atom
**Formation energy from the elements**: -2.045 eV/atom
**E above lowest polymorph**: 0.0861 eV/atom
**SG**: Cmc2_1, No. 36
**Corrected total energy (MP2020 scheme)**: -8.544 eV/atom

Entry 2:
VASP calculation (PBE+U) on VReO4 after structural relaxation.

Geometry as POSCAR:
```
VReO4
1.0
-2.853 3.345 3.460
2.853 -3.345 3.460
2.853 3.345 -3.460
V Re O
2 2 8
Direct
0.000 0.000 0.000 V
0.000 0.500 0.500 V
0.500 0.277 0.777 Re
0.500 0.723 0.223 Re
0.213 0.257 0.470 O
0.213 0.743 0.956 O
0.280 0.280 0.000 O
0.311 0.811 0.500 O
0.689 0.189 0.500 O
0.720 0.720 0.000 O
0.787 0.257 0.044 O
0.787 0.743 0.530 O
```

## Properties
**Total magnetization**: 0.014 μB per atom
**Formation energy from the elements**: -2.212 eV/atom
**E above lowest polymorph**: 0.0265 eV/atom
**SG**: Immm, No. 71
**Corrected total energy (MP2020 scheme)**: -9.099 eV/atom

Entry 3:
VASP calculation (PBE+U) on V2Re2O11 after structural relaxation.

Geometry as POSCAR:
```
V2Re2O11
1.0
3.331 -9.029 0.000
3.331 9.029 0.000
0.000 0.000 8.124
V Re O
4 4 22
Direct
0.067 0.933 0.500 V
0.253 0.747 0.340 V
0.747 0.253 0.840 V
0.933 0.067 0.000 V
0.189 0.811 0.949 Re
0.495 0.505 0.583 Re
0.505 0.495 0.083 Re
0.811 0.189 0.449 Re
0.014 0.986 0.340 O
0.070 0.485 0.445 O
0.105 0.895 0.046 O
0.159 0.841 0.396 O
0.174 0.826 0.736 O
0.227 0.330 0.087 O
0.269 0.731 0.119 O
0.330 0.227 0.587 O
0.429 0.571 0.736 O
0.444 0.556 0.403 O
0.485 0.070 0.945 O
0.515 0.930 0.445 O
0.556 0.444 0.903 O
0.571 0.429 0.236 O
0.670 0.773 0.087 O
0.731 0.269 0.619 O
0.773 0.670 0.587 O
0.826 0.174 0.236 O
0.841 0.159 0.896 O
0.895 0.105 0.546 O
0.930 0.515 0.945 O
0.986 0.014 0.840 O
```

## Properties
**Total magnetization**: 0.133 μB per atom
**Formation energy from the elements**: -2.095 eV/atom
**E above lowest polymorph**: 0.0354 eV/atom
**SG**: Cmc2_1, No. 36
**Corrected total energy (MP2020 scheme)**: -8.594 eV/atom

- Look up the E above lowest polymorph of the second one.
  0.0265 eV/atom

- Look up the corrected total energy (MP2020 scheme) of the second one.
  -9.099 eV/atom

- Among the records above, which one has the highest E above lowest polymorph?
  number 1